#one
# SmB3O6

A relaxed structure of SmB3O6 (PBE-GGA, the Materials Project).

Cell and atoms, written as POSCAR:
```
SmB3O6
1.0
-1.977 -4.394 -4.190
2.162 -5.340 2.753
-4.316 -4.222 1.998
Sm B O
2 6 12
Direct
0.796 0.204 0.250
0.204 0.796 0.750
0.339 0.207 0.088
0.793 0.661 0.412
0.223 0.777 0.250
0.777 0.223 0.750
0.661 0.793 0.912
0.207 0.339 0.588
0.217 0.991 0.292
0.417 0.786 0.006
0.214 0.583 0.494
0.583 0.214 0.994
0.387 0.206 0.507
0.794 0.613 0.993
0.613 0.794 0.493
0.206 0.387 0.007
0.783 0.009 0.708
0.991 0.217 0.792
0.786 0.417 0.506
0.009 0.783 0.208
```

#two
# SmB3O6

A relaxed structure of SmB3O6 (PBE-GGA, the Materials Project).

Cell and atoms, written as POSCAR:
```
SmB3O6
1.0
7.507 0.000 0.000
0.000 12.478 0.000
0.000 0.000 16.244
Sm B O
16 48 96
Direct
0.750 0.494 0.620
0.250 0.931 0.171
0.250 0.586 0.048
0.250 0.274 0.873
0.250 0.506 0.380
0.750 0.069 0.829
0.750 0.774 0.627
0.250 0.914 0.548
0.250 0.226 0.373
0.750 0.414 0.952
0.750 0.086 0.452
0.250 0.569 0.671
0.250 0.994 0.880
0.750 0.726 0.127
0.750 0.431 0.329
0.750 0.006 0.120
0.929 0.687 0.783
0.924 0.481 0.155
0.923 0.855 0.890
0.424 0.519 0.845
0.573 0.845 0.442
0.569 0.129 0.257
0.062 0.820 0.029
0.073 0.345 0.058
0.077 0.145 0.110
0.427 0.345 0.058
0.077 0.355 0.610
0.562 0.320 0.471
0.076 0.981 0.345
0.429 0.187 0.717
0.071 0.187 0.717
0.069 0.871 0.743
0.929 0.813 0.283
0.071 0.313 0.217
0.927 0.845 0.442
0.438 0.680 0.529
0.938 0.320 0.471
0.569 0.371 0.757
0.923 0.645 0.390
0.927 0.655 0.942
0.562 0.180 0.971
0.573 0.655 0.942
0.423 0.145 0.110
0.931 0.371 0.757
0.576 0.019 0.655
0.577 0.855 0.890
0.577 0.645 0.390
0.924 0.019 0.655
0.931 0.129 0.257
0.424 0.981 0.345
0.062 0.680 0.529
0.073 0.155 0.558
0.427 0.155 0.558
0.938 0.180 0.971
0.069 0.629 0.243
0.429 0.313 0.217
0.576 0.481 0.155
0.431 0.871 0.743
0.571 0.813 0.283
0.438 0.820 0.029
0.571 0.687 0.783
0.423 0.355 0.610
0.076 0.519 0.845
0.431 0.629 0.243
0.573 0.765 0.371
0.250 0.393 0.047
0.438 0.876 0.951
0.073 0.235 0.629
0.250 0.465 0.839
0.517 0.731 0.225
0.250 0.035 0.339
0.948 0.067 0.572
0.750 0.609 0.421
0.560 0.434 0.833
0.573 0.735 0.871
0.535 0.920 0.815
0.562 0.376 0.549
0.462 0.374 0.406
0.983 0.769 0.725
0.250 0.391 0.579
0.038 0.126 0.906
0.483 0.269 0.775
0.750 0.137 0.225
0.559 0.398 0.218
0.250 0.352 0.244
0.427 0.235 0.629
0.441 0.898 0.282
0.062 0.624 0.451
0.516 0.708 0.019
0.560 0.066 0.333
0.438 0.624 0.451
0.750 0.535 0.161
0.017 0.231 0.275
0.927 0.735 0.871
0.250 0.109 0.079
0.059 0.898 0.282
0.538 0.874 0.094
0.060 0.566 0.167
0.017 0.269 0.775
0.750 0.965 0.661
0.062 0.876 0.951
0.750 0.363 0.725
0.250 0.107 0.547
0.250 0.863 0.775
0.440 0.934 0.667
0.250 0.148 0.744
0.750 0.303 0.438
0.035 0.420 0.685
0.441 0.602 0.782
0.535 0.580 0.315
0.462 0.126 0.906
0.940 0.434 0.833
0.073 0.265 0.129
0.250 0.637 0.275
0.750 0.852 0.256
0.035 0.080 0.185
0.016 0.208 0.481
0.962 0.874 0.094
0.060 0.934 0.667
0.941 0.398 0.218
0.052 0.933 0.428
0.484 0.292 0.981
0.250 0.803 0.062
0.483 0.231 0.275
0.750 0.893 0.453
0.465 0.080 0.185
0.965 0.920 0.815
0.941 0.102 0.718
0.750 0.648 0.756
0.984 0.708 0.019
0.516 0.792 0.519
0.517 0.769 0.725
0.938 0.124 0.049
0.427 0.265 0.129
0.962 0.626 0.594
0.016 0.292 0.981
0.465 0.420 0.685
0.059 0.602 0.782
0.448 0.933 0.428
0.940 0.066 0.333
0.983 0.731 0.225
0.984 0.792 0.519
0.750 0.197 0.938
0.250 0.697 0.562
0.484 0.208 0.481
0.562 0.124 0.049
0.750 0.891 0.921
0.927 0.765 0.371
0.750 0.607 0.953
0.559 0.102 0.718
0.538 0.626 0.594
0.440 0.566 0.167
0.448 0.567 0.928
0.552 0.433 0.072
0.038 0.374 0.406
0.965 0.580 0.315
0.052 0.567 0.928
0.938 0.376 0.549
0.552 0.067 0.572
0.948 0.433 0.072
```

The relative energies come out as #one 1.6; #two 0.0, with values in kJ/mol of atoms.

#one
# HfMg6Zn

A relaxed structure of HfMg6Zn (PBE-GGA, the Materials Project).

Cell and atoms, written as POSCAR:
```
HfMg6Zn
1.0
-2.338 4.386 -0.231
-5.336 -2.875 -0.593
-1.204 -0.057 11.119
Hf Mg Zn
2 12 2
Direct
0.500 0.500 0.173
0.500 0.000 0.673
0.500 0.251 0.421
0.500 0.749 0.421
0.000 0.749 0.083
0.000 0.251 0.083
0.000 0.000 0.325
0.000 0.500 0.330
0.500 0.751 0.921
0.500 0.249 0.921
0.000 0.249 0.583
0.000 0.751 0.583
0.000 0.500 0.825
0.000 0.000 0.830
0.500 0.000 0.164
0.500 0.500 0.664
```

#two
# HfMg6Zn

A relaxed structure of HfMg6Zn (PBE-GGA, the Materials Project).

Cell and atoms, written as POSCAR:
```
HfMg6Zn
1.0
4.933 0.000 0.000
0.000 6.264 0.000
0.000 0.000 11.056
Hf Mg Zn
2 12 2
Direct
0.000 0.500 0.177
0.000 0.000 0.677
0.500 0.747 0.084
0.500 0.253 0.084
0.500 0.000 0.332
0.000 0.255 0.420
0.000 0.745 0.420
0.000 0.000 0.167
0.500 0.247 0.584
0.500 0.753 0.584
0.500 0.500 0.832
0.000 0.755 0.920
0.000 0.245 0.920
0.000 0.500 0.667
0.500 0.500 0.318
0.500 0.000 0.818
```

The relative energies come out as #one 0.7; #two 0.0, with values in kJ/mol of atoms.

#one
# Ga

A relaxed structure of Ga (PBE-GGA, the Materials Project).

Cell and atoms, written as POSCAR:
```
Ga
1.0
-1.867 1.000 -7.564
-2.266 -6.903 -2.985
-7.824 -0.013 -0.702
Ga
22
Direct
0.320 0.626 0.320
0.680 0.374 0.680
0.281 0.978 0.281
0.097 0.615 0.097
0.719 0.022 0.719
0.903 0.385 0.903
0.320 0.320 0.626
0.374 0.680 0.680
0.022 0.719 0.719
0.615 0.097 0.097
0.903 0.903 0.385
0.680 0.680 0.374
0.500 0.000 0.500
0.626 0.320 0.320
0.978 0.281 0.281
0.719 0.719 0.022
0.500 0.500 0.000
0.097 0.097 0.615
0.385 0.903 0.903
0.000 0.000 0.000
0.281 0.281 0.978
0.000 0.500 0.500
```

#two
# Ga

A relaxed structure of Ga (PBE-GGA, the Materials Project).

Cell and atoms, written as POSCAR:
```
Ga
1.0
2.345 2.384 -3.102
-2.878 2.248 2.733
3.394 0.633 3.053
Ga
4
Direct
0.335 0.012 0.250
0.988 0.665 0.750
0.665 0.988 0.750
0.012 0.335 0.250
```

The relative energies come out as #one 2.8; #two 0.0, with values in kJ/mol of atoms.

#one
# HgAsC4Se3N

A relaxed structure of HgAsC4Se3N (PBE-GGA, the Materials Project).

Cell and atoms, written as POSCAR:
```
HgAsC4Se3N
1.0
-6.056 -14.723 9.694
5.182 1.008 4.769
-0.443 6.024 8.872
Hg As C Se N
4 4 16 12 4
Direct
0.484 0.300 0.428
0.016 0.300 0.928
0.516 0.700 0.572
0.984 0.700 0.072
0.446 0.841 0.846
0.054 0.841 0.346
0.554 0.159 0.154
0.946 0.159 0.654
0.621 0.025 0.889
0.879 0.025 0.389
0.379 0.975 0.111
0.121 0.975 0.611
0.670 0.824 0.923
0.830 0.824 0.423
0.330 0.176 0.077
0.170 0.176 0.577
0.714 0.036 0.883
0.786 0.036 0.383
0.286 0.964 0.117
0.214 0.964 0.617
0.667 0.143 0.931
0.833 0.143 0.431
0.333 0.857 0.069
0.167 0.857 0.569
0.328 0.699 0.984
0.172 0.699 0.484
0.672 0.301 0.016
0.828 0.301 0.516
0.395 0.221 0.629
0.105 0.221 0.129
0.605 0.779 0.371
0.895 0.779 0.871
0.425 0.576 0.777
0.075 0.576 0.277
0.575 0.424 0.223
0.925 0.424 0.723
0.667 0.063 0.760
0.833 0.063 0.260
0.333 0.937 0.240
0.167 0.937 0.740
```

#two
# HgAsC4Se3N

A relaxed structure of HgAsC4Se3N (PBE-GGA, the Materials Project).

Cell and atoms, written as POSCAR:
```
HgAsC4Se3N
1.0
-0.667 -7.503 0.640
4.195 -1.742 -16.058
8.114 6.847 1.377
Hg As C Se N
4 4 16 12 4
Direct
0.689 0.948 0.804
0.689 0.552 0.304
0.311 0.052 0.196
0.311 0.448 0.696
0.179 0.951 0.839
0.179 0.549 0.339
0.821 0.049 0.161
0.821 0.451 0.661
0.909 0.115 0.573
0.909 0.385 0.073
0.091 0.885 0.427
0.091 0.615 0.927
0.153 0.154 0.722
0.153 0.346 0.222
0.847 0.846 0.278
0.847 0.654 0.778
0.992 0.214 0.574
0.992 0.286 0.074
0.008 0.786 0.426
0.008 0.714 0.926
0.811 0.164 0.425
0.811 0.336 0.925
0.189 0.836 0.575
0.189 0.664 0.075
0.419 0.837 0.813
0.419 0.663 0.313
0.581 0.163 0.187
0.581 0.337 0.687
0.771 0.909 0.610
0.771 0.591 0.110
0.229 0.091 0.390
0.229 0.409 0.890
0.251 0.907 0.082
0.251 0.593 0.582
0.749 0.093 0.918
0.749 0.407 0.418
0.927 0.185 0.674
0.927 0.315 0.174
0.073 0.815 0.326
0.073 0.685 0.826
```

The relative energies come out as #one 0.0; #two 3.5, with values in kJ/mol of atoms.

#one
# MgSc2S4

A relaxed structure of MgSc2S4 (PBE-GGA, the Materials Project).

Cell and atoms, written as POSCAR:
```
MgSc2S4
1.0
6.869 0.000 0.000
-0.007 7.943 0.000
-1.150 -1.983 12.467
Mg Sc S
4 8 16
Direct
0.867 0.801 0.701
0.133 0.199 0.299
0.751 0.625 0.998
0.249 0.375 0.002
0.862 0.299 0.699
0.138 0.701 0.301
0.759 0.124 0.000
0.241 0.876 0.000
0.632 0.446 0.300
0.368 0.554 0.700
0.631 0.954 0.302
0.369 0.046 0.698
0.897 0.346 0.892
0.103 0.654 0.108
0.900 0.851 0.896
0.100 0.149 0.104
0.812 0.218 0.372
0.188 0.782 0.628
0.811 0.718 0.370
0.189 0.282 0.630
0.688 0.031 0.628
0.312 0.969 0.372
0.688 0.533 0.630
0.312 0.467 0.370
0.597 0.906 0.107
0.403 0.094 0.893
0.605 0.399 0.106
0.395 0.601 0.894
```

#two
# MgSc2S4

A relaxed structure of MgSc2S4 (PBE-GGA, the Materials Project).

Cell and atoms, written as POSCAR:
```
MgSc2S4
1.0
3.639 0.000 0.000
0.000 12.105 0.000
0.000 0.000 12.580
Mg Sc S
4 8 16
Direct
0.750 0.125 0.425
0.250 0.875 0.575
0.250 0.375 0.925
0.750 0.625 0.075
0.250 0.110 0.079
0.750 0.890 0.921
0.750 0.390 0.579
0.250 0.610 0.421
0.250 0.147 0.702
0.750 0.853 0.298
0.750 0.353 0.202
0.250 0.647 0.798
0.750 0.025 0.614
0.250 0.975 0.386
0.250 0.475 0.114
0.750 0.525 0.886
0.250 0.033 0.881
0.750 0.967 0.119
0.750 0.467 0.381
0.250 0.533 0.619
0.250 0.217 0.259
0.750 0.783 0.741
0.750 0.283 0.759
0.250 0.717 0.241
0.750 0.249 0.022
0.250 0.751 0.978
0.250 0.251 0.522
0.750 0.749 0.478
```

The relative energies come out as #one 9.5; #two 0.0, with values in kJ/mol of atoms.